The following is a PBE-GGA calculation of Na2Y3Ta5P12O48 after structural relaxation, from the Materials Project.

a b c (Å): 8.900 15.403 23.175
angles (deg): 90.04 90.04 90.04
Space group P1 (No. 1)
Inequivalent atoms, fractional coordinates:
Na1 0.000 0.000 0.000 (multiplicity 1)
Na2 0.000 0.337 0.338 (multiplicity 1)
Na3 0.001 0.000 0.500 (multiplicity 1)
Na4 0.495 0.504 0.498 (multiplicity 1)
Na5 0.497 0.504 0.001 (multiplicity 1)
Na6 0.499 0.835 0.835 (multiplicity 1)
Y1 0.001 0.007 0.861 (multiplicity 1)
Y2 0.496 0.497 0.860 (multiplicity 1)
Y3 0.496 0.840 0.689 (multiplicity 1)
Y4 0.498 0.835 0.981 (multiplicity 1)
Y5 0.499 0.504 0.358 (multiplicity 1)
Y6 0.996 0.662 0.531 (multiplicity 1)
Y7 0.998 0.000 0.359 (multiplicity 1)
Y8 0.998 0.336 0.186 (multiplicity 1)
Y9 0.999 0.338 0.481 (multiplicity 1)
Ta1 0.498 0.166 0.027 (multiplicity 1)
Ta2 0.498 0.166 0.314 (multiplicity 1)
Ta3 0.498 0.172 0.528 (multiplicity 1)
Ta4 0.498 0.172 0.812 (multiplicity 1)
Ta5 0.499 0.506 0.653 (multiplicity 1)
Ta6 0.499 0.834 0.481 (multiplicity 1)
Ta7 0.499 0.835 0.188 (multiplicity 1)
Ta8 0.501 0.500 0.154 (multiplicity 1)
Ta9 0.995 0.999 0.652 (multiplicity 1)
Ta10 0.997 0.005 0.154 (multiplicity 1)
Ta11 0.998 0.333 0.689 (multiplicity 1)
Ta12 0.998 0.672 0.316 (multiplicity 1)
Ta13 0.999 0.336 0.981 (multiplicity 1)
Ta14 0.999 0.666 0.812 (multiplicity 1)
Ta15 0.999 0.672 0.027 (multiplicity 1)
P1 0.137 0.524 0.417 (multiplicity 1)
P2 0.137 0.855 0.756 (multiplicity 1)
P3 0.140 0.187 0.084 (multiplicity 1)
P4 0.146 0.148 0.751 (multiplicity 1)
P5 0.149 0.810 0.422 (multiplicity 1)
P6 0.151 0.482 0.084 (multiplicity 1)
P7 0.204 0.839 0.088 (multiplicity 1)
P8 0.205 0.500 0.752 (multiplicity 1)
P9 0.221 0.169 0.420 (multiplicity 1)
P10 0.275 0.669 0.920 (multiplicity 1)
P11 0.292 0.001 0.252 (multiplicity 1)
P12 0.292 0.338 0.589 (multiplicity 1)
P13 0.345 0.982 0.584 (multiplicity 1)
P14 0.348 0.649 0.251 (multiplicity 1)
P15 0.352 0.306 0.923 (multiplicity 1)
P16 0.357 0.352 0.254 (multiplicity 1)
P17 0.364 0.030 0.919 (multiplicity 1)
P18 0.367 0.687 0.586 (multiplicity 1)
P19 0.634 0.027 0.424 (multiplicity 1)
P20 0.639 0.307 0.420 (multiplicity 1)
P21 0.644 0.687 0.088 (multiplicity 1)
P22 0.646 0.647 0.757 (multiplicity 1)
P23 0.647 0.357 0.753 (multiplicity 1)
P24 0.648 0.981 0.088 (multiplicity 1)
P25 0.703 0.338 0.084 (multiplicity 1)
P26 0.709 0.006 0.757 (multiplicity 1)
P27 0.711 0.674 0.421 (multiplicity 1)
P28 0.777 0.174 0.923 (multiplicity 1)
P29 0.787 0.843 0.586 (multiplicity 1)
P30 0.795 0.506 0.255 (multiplicity 1)
P31 0.844 0.476 0.591 (multiplicity 1)
P32 0.849 0.148 0.256 (multiplicity 1)
P33 0.850 0.856 0.252 (multiplicity 1)
P34 0.854 0.188 0.588 (multiplicity 1)
P35 0.860 0.807 0.920 (multiplicity 1)
P36 0.862 0.527 0.924 (multiplicity 1)
O1 0.055 0.436 0.412 (multiplicity 1)
O2 0.056 0.764 0.763 (multiplicity 1)
O3 0.063 0.234 0.032 (multiplicity 1)
O4 0.068 0.094 0.092 (multiplicity 1)
O5 0.069 0.902 0.700 (multiplicity 1)
O6 0.071 0.117 0.806 (multiplicity 1)
O7 0.075 0.451 0.138 (multiplicity 1)
O8 0.079 0.580 0.363 (multiplicity 1)
O9 0.082 0.768 0.475 (multiplicity 1)
O10 0.085 0.239 0.735 (multiplicity 1)
O11 0.089 0.573 0.068 (multiplicity 1)
O12 0.092 0.902 0.416 (multiplicity 1)
O13 0.096 0.915 0.104 (multiplicity 1)
O14 0.099 0.425 0.734 (multiplicity 1)
O15 0.100 0.570 0.473 (multiplicity 1)
O16 0.103 0.757 0.080 (multiplicity 1)
O17 0.107 0.583 0.762 (multiplicity 1)
O18 0.108 0.910 0.808 (multiplicity 1)
O19 0.112 0.757 0.365 (multiplicity 1)
O20 0.117 0.085 0.700 (multiplicity 1)
O21 0.117 0.418 0.032 (multiplicity 1)
O22 0.130 0.086 0.422 (multiplicity 1)
O23 0.130 0.253 0.419 (multiplicity 1)
O24 0.133 0.239 0.138 (multiplicity 1)
O25 0.170 0.992 0.593 (multiplicity 1)
O26 0.173 0.670 0.975 (multiplicity 1)
O27 0.175 0.670 0.864 (multiplicity 1)
O28 0.177 0.312 0.934 (multiplicity 1)
O29 0.177 0.659 0.260 (multiplicity 1)
O30 0.183 0.018 0.199 (multiplicity 1)
O31 0.183 0.322 0.640 (multiplicity 1)
O32 0.192 0.337 0.245 (multiplicity 1)
O33 0.194 0.029 0.922 (multiplicity 1)
O34 0.203 0.978 0.304 (multiplicity 1)
O35 0.204 0.669 0.577 (multiplicity 1)
O36 0.206 0.359 0.534 (multiplicity 1)
O37 0.290 0.861 0.034 (multiplicity 1)
O38 0.293 0.478 0.805 (multiplicity 1)
O39 0.302 0.839 0.749 (multiplicity 1)
O40 0.306 0.514 0.414 (multiplicity 1)
O41 0.308 0.171 0.069 (multiplicity 1)
O42 0.313 0.519 0.700 (multiplicity 1)
O43 0.313 0.823 0.139 (multiplicity 1)
O44 0.320 0.159 0.762 (multiplicity 1)
O45 0.321 0.170 0.364 (multiplicity 1)
O46 0.325 0.170 0.475 (multiplicity 1)
O47 0.325 0.491 0.092 (multiplicity 1)
O48 0.325 0.814 0.430 (multiplicity 1)
O49 0.366 0.585 0.922 (multiplicity 1)
O50 0.367 0.752 0.919 (multiplicity 1)
O51 0.375 0.919 0.532 (multiplicity 1)
O52 0.382 0.585 0.198 (multiplicity 1)
O53 0.383 0.408 0.306 (multiplicity 1)
O54 0.384 0.256 0.866 (multiplicity 1)
O55 0.391 0.083 0.261 (multiplicity 1)
O56 0.393 0.738 0.641 (multiplicity 1)
O57 0.394 0.256 0.580 (multiplicity 1)
O58 0.397 0.415 0.605 (multiplicity 1)
O59 0.397 0.925 0.234 (multiplicity 1)
O60 0.407 0.074 0.568 (multiplicity 1)
O61 0.413 0.740 0.233 (multiplicity 1)
O62 0.414 0.256 0.976 (multiplicity 1)
O63 0.415 0.080 0.975 (multiplicity 1)
O64 0.418 0.953 0.639 (multiplicity 1)
O65 0.419 0.082 0.864 (multiplicity 1)
O66 0.421 0.395 0.924 (multiplicity 1)
O67 0.428 0.402 0.199 (multiplicity 1)
O68 0.429 0.618 0.304 (multiplicity 1)
O69 0.439 0.736 0.533 (multiplicity 1)
O70 0.440 0.263 0.262 (multiplicity 1)
O71 0.441 0.942 0.918 (multiplicity 1)
O72 0.448 0.595 0.593 (multiplicity 1)
O73 0.554 0.939 0.434 (multiplicity 1)
O74 0.561 0.395 0.421 (multiplicity 1)
O75 0.566 0.719 0.034 (multiplicity 1)
O76 0.567 0.403 0.702 (multiplicity 1)
O77 0.570 0.267 0.763 (multiplicity 1)
O78 0.571 0.069 0.368 (multiplicity 1)
O79 0.572 0.935 0.139 (multiplicity 1)
O80 0.577 0.073 0.080 (multiplicity 1)
O81 0.578 0.604 0.810 (multiplicity 1)
O82 0.581 0.595 0.104 (multiplicity 1)
O83 0.585 0.258 0.476 (multiplicity 1)
O84 0.591 0.252 0.366 (multiplicity 1)
O85 0.592 0.739 0.749 (multiplicity 1)
O86 0.595 0.085 0.477 (multiplicity 1)
O87 0.596 0.262 0.068 (multiplicity 1)
O88 0.598 0.933 0.750 (multiplicity 1)
O89 0.601 0.600 0.415 (multiplicity 1)
O90 0.603 0.420 0.092 (multiplicity 1)
O91 0.609 0.588 0.702 (multiplicity 1)
O92 0.611 0.749 0.139 (multiplicity 1)
O93 0.615 0.093 0.764 (multiplicity 1)
O94 0.618 0.761 0.429 (multiplicity 1)
O95 0.638 0.410 0.807 (multiplicity 1)
O96 0.639 0.927 0.034 (multiplicity 1)
O97 0.673 0.485 0.606 (multiplicity 1)
O98 0.674 0.147 0.263 (multiplicity 1)
O99 0.675 0.165 0.977 (multiplicity 1)
O100 0.679 0.857 0.533 (multiplicity 1)
O101 0.680 0.186 0.868 (multiplicity 1)
O102 0.681 0.178 0.579 (multiplicity 1)
O103 0.681 0.514 0.201 (multiplicity 1)
O104 0.683 0.841 0.234 (multiplicity 1)
O105 0.689 0.811 0.919 (multiplicity 1)
O106 0.693 0.515 0.923 (multiplicity 1)
O107 0.700 0.833 0.641 (multiplicity 1)
O108 0.701 0.491 0.308 (multiplicity 1)
O109 0.786 0.315 0.138 (multiplicity 1)
O110 0.801 0.660 0.475 (multiplicity 1)
O111 0.802 0.995 0.810 (multiplicity 1)
O112 0.804 0.017 0.423 (multiplicity 1)
O113 0.809 0.309 0.419 (multiplicity 1)
O114 0.814 0.338 0.737 (multiplicity 1)
O115 0.815 0.015 0.702 (multiplicity 1)
O116 0.815 0.353 0.032 (multiplicity 1)
O117 0.816 0.685 0.366 (multiplicity 1)
O118 0.817 0.678 0.079 (multiplicity 1)
O119 0.817 0.997 0.104 (multiplicity 1)
O120 0.821 0.647 0.764 (multiplicity 1)
O121 0.855 0.425 0.536 (multiplicity 1)
O122 0.857 0.911 0.306 (multiplicity 1)
O123 0.873 0.258 0.933 (multiplicity 1)
O124 0.877 0.095 0.923 (multiplicity 1)
O125 0.884 0.593 0.263 (multiplicity 1)
O126 0.886 0.247 0.641 (multiplicity 1)
O127 0.886 0.930 0.594 (multiplicity 1)
O128 0.889 0.089 0.201 (multiplicity 1)
O129 0.897 0.770 0.577 (multiplicity 1)
O130 0.901 0.432 0.245 (multiplicity 1)
O131 0.902 0.584 0.977 (multiplicity 1)
O132 0.905 0.239 0.246 (multiplicity 1)
O133 0.906 0.752 0.866 (multiplicity 1)
O134 0.912 0.758 0.976 (multiplicity 1)
O135 0.914 0.422 0.641 (multiplicity 1)
O136 0.914 0.565 0.594 (multiplicity 1)
O137 0.918 0.097 0.604 (multiplicity 1)
O138 0.919 0.107 0.308 (multiplicity 1)
O139 0.926 0.568 0.868 (multiplicity 1)
O140 0.926 0.767 0.261 (multiplicity 1)
O141 0.928 0.905 0.200 (multiplicity 1)
O142 0.932 0.220 0.534 (multiplicity 1)
O143 0.939 0.895 0.922 (multiplicity 1)
O144 0.943 0.437 0.934 (multiplicity 1)

ρ: 3.7 Mg/m³
E_form: -3.080 eV/atom
total moment: 0.000 μB per formula unit